[1]
Computed, not measured: crystalline CsCl at its relaxed geometry at the r2SCAN level of DFT.

Unit cell a=4.1437 b=4.1437 c=4.1437 alpha=90.00 beta=90.00 gamma=90.00
Fractional coordinates of all 2 atoms:
Cl1 0.5000 0.5000 0.5000
Cs1 0.0000 0.0000 0.0000

---

[2]
Computed, not measured: crystalline Cs2CuCl4 at its relaxed geometry at the r2SCAN level of DFT.

Unit cell a=7.6237 b=9.8399 c=12.3360 alpha=90.00 beta=90.00 gamma=90.00
Fractional coordinates of all 28 atoms:
Cs1 0.2500 0.1344 0.8961
Cl1 0.9850 0.2867 0.6426
Cs2 0.2500 0.6344 0.6039
Cl2 0.2500 0.0050 0.6212
Cu1 0.2500 0.2292 0.5827
Cl3 0.5150 0.7867 0.8574
Cs3 0.2500 0.5127 0.1731
Cs4 0.7500 0.4873 0.8269
Cu2 0.7500 0.7708 0.4173
Cl4 0.2500 0.3485 0.4268
Cl5 0.2500 0.5050 0.8788
Cl6 0.7500 0.4950 0.1212
Cl7 0.0150 0.2133 0.1426
Cl8 0.5150 0.2867 0.6426
Cl9 0.2500 0.8485 0.0732
Cu3 0.2500 0.7292 0.9173
Cl10 0.9850 0.7867 0.8574
Cs5 0.2500 0.0127 0.3269
Cl11 0.0150 0.7133 0.3574
Cs6 0.7500 0.9873 0.6731
Cl12 0.7500 0.9950 0.3788
Cs7 0.7500 0.8656 0.1039
Cl13 0.7500 0.6515 0.5732
Cl14 0.7500 0.1515 0.9268
Cl15 0.4850 0.7133 0.3574
Cl16 0.4850 0.2133 0.1426
Cs8 0.7500 0.3656 0.3961
Cu4 0.7500 0.2708 0.0827

---

Computed values of final energy (unit: eV per atom) for the preceding records, in sequence: -17.802, -13.821.
Computed values of calculated formation energy (unit: eV/f.u.) for the preceding records, in sequence: -4.34, -11.07.
Computed values of spin magnetization (unit: μB/f.u.) for the preceding records, in sequence: 0.00, 1.00.